1.
Na12Ta2Zn4Si6S3O36 | GGA-PBE | relaxed

a b c (Å): 15.9316 9.2025 22.1368
angles (deg): 90.00 90.02 90.00
Space group Cc (No. 9)
Asymmetric unit:
Na  0.0000  0.1294  0.0000 [4 per cell]
Na  0.0035  0.1822  0.6634 [4 per cell]
Na  0.0132  0.4946  0.2382 [4 per cell]
Na  0.0331  0.1667  0.3226 [4 per cell]
Na  0.1611  0.2983  0.8223 [4 per cell]
Na  0.1622  0.3629  0.1669 [4 per cell]
Na  0.1766  0.0047  0.4071 [4 per cell]
Na  0.2011  0.3059  0.4965 [4 per cell]
Na  0.3179  0.1812  0.9918 [4 per cell]
Na  0.3243  0.1368  0.3288 [4 per cell]
Na  0.3409  0.4811  0.5762 [4 per cell]
Na  0.3568  0.1772  0.6526 [4 per cell]
Ta  0.0010  0.4973  0.8897 [4 per cell]
Ta  0.3404  0.4929  0.7314 [4 per cell]
Zn  0.0087  0.4831  0.0993 [4 per cell]
Zn  0.1643  0.0090  0.7634 [4 per cell]
Zn  0.1729  0.0197  0.5723 [4 per cell]
Zn  0.3392  0.4858  0.4212 [4 per cell]
Si  0.0261  0.1439  0.1632 [4 per cell]
Si  0.1732  0.3024  0.6634 [4 per cell]
Si  0.1915  0.3511  0.3338 [4 per cell]
Si  0.3381  0.2076  0.8362 [4 per cell]
Si  0.3567  0.1463  0.5010 [4 per cell]
Si  0.4864  0.3552  0.3342 [4 per cell]
S  0.0060  0.2125  0.4976 [4 per cell]
S  0.1519  0.3548  0.9965 [4 per cell]
S  0.3209  0.1549  0.1643 [4 per cell]
O  0.0003  0.3019  0.5526 [4 per cell]
O  0.0071  0.3190  0.1620 [4 per cell]
O  0.0135  0.3131  0.4425 [4 per cell]
O  0.0647  0.0671  0.1020 [4 per cell]
O  0.0809  0.0864  0.8274 [4 per cell]
O  0.0826  0.1212  0.4948 [4 per cell]
O  0.0837  0.1215  0.2224 [4 per cell]
O  0.0902  0.4071  0.6567 [4 per cell]
O  0.0978  0.3984  0.9423 [4 per cell]
O  0.0982  0.4367  0.3377 [4 per cell]
O  0.1143  0.4162  0.0521 [4 per cell]
O  0.1544  0.1946  0.9961 [4 per cell]
O  0.1581  0.2046  0.7229 [4 per cell]
O  0.1787  0.1791  0.3241 [4 per cell]
O  0.2012  0.2115  0.6032 [4 per cell]
O  0.2372  0.4173  0.9926 [4 per cell]
O  0.2413  0.4332  0.2757 [4 per cell]
O  0.2439  0.3731  0.3951 [4 per cell]
O  0.2591  0.4112  0.6724 [4 per cell]
O  0.2638  0.0937  0.8246 [4 per cell]
O  0.2662  0.0596  0.4975 [4 per cell]
O  0.2696  0.1317  0.1089 [4 per cell]
O  0.2818  0.0911  0.2186 [4 per cell]
O  0.3237  0.3049  0.8952 [4 per cell]
O  0.3267  0.3200  0.1697 [4 per cell]
O  0.3496  0.3232  0.4962 [4 per cell]
O  0.3562  0.3193  0.7767 [4 per cell]
O  0.4071  0.0984  0.1596 [4 per cell]
O  0.4137  0.0748  0.4406 [4 per cell]
O  0.4150  0.1102  0.5588 [4 per cell]
O  0.4217  0.3814  0.2752 [4 per cell]
O  0.4290  0.3768  0.9938 [4 per cell]
O  0.4297  0.1139  0.8380 [4 per cell]
O  0.4299  0.4386  0.6717 [4 per cell]
O  0.4490  0.4256  0.3946 [4 per cell]
O  0.4914  0.1705  0.3369 [4 per cell]

Calculated density = 3.56 g cm⁻³
DFT total energy = -1597.12 eV per cell
E (MP2020) = -6.730 eV per atom
Calculated formation energy = -2.48 eV per atom
Volume = 12.88 Å³/atom



2.
Al12Si12Ag16S5O48 | GGA-PBE | relaxed

a b c (Å): 8.9836 9.0300 17.9562
angles (deg): 90.06 90.18 90.09
Space group P1 (No. 1)
Asymmetric unit:
Al  0.0000  0.0000  0.0000 [1 per cell]
Al  0.9999  0.0009  0.4961 [1 per cell]
Al  0.2480  0.4986  0.3725 [1 per cell]
Al  0.2496  0.4998  0.6218 [1 per cell]
Al  0.2509  0.4996  0.8752 [1 per cell]
Al  0.2527  0.4989  0.1237 [1 per cell]
Al  0.5001  0.0020  0.0003 [1 per cell]
Al  0.5008  0.0004  0.4959 [1 per cell]
Al  0.7485  0.2498  0.7496 [1 per cell]
Al  0.7490  0.2529  0.2481 [1 per cell]
Al  0.7499  0.7518  0.2481 [1 per cell]
Al  0.7517  0.7483  0.7495 [1 per cell]
Si  0.2493  0.7500  0.4965 [1 per cell]
Si  0.2497  0.2498  0.4962 [1 per cell]
Si  0.2507  0.2501  0.9999 [1 per cell]
Si  0.2509  0.7507  0.9994 [1 per cell]
Si  0.5012  0.4984  0.7494 [1 per cell]
Si  0.5008  0.4994  0.2478 [1 per cell]
Si  0.7492  0.0033  0.1240 [1 per cell]
Si  0.7495  0.9992  0.8751 [1 per cell]
Si  0.7504  0.0028  0.3722 [1 per cell]
Si  0.7502  0.9992  0.6227 [1 per cell]
Si  0.9992  0.5005  0.2486 [1 per cell]
Si  0.9990  0.4996  0.7494 [1 per cell]
Ag  0.0671  0.8179  0.6568 [1 per cell]
Ag  0.0682  0.1795  0.8401 [1 per cell]
Ag  0.0856  0.8328  0.1680 [1 per cell]
Ag  0.0880  0.1523  0.3187 [1 per cell]
Ag  0.4004  0.1519  0.1718 [1 per cell]
Ag  0.4106  0.8323  0.3258 [1 per cell]
Ag  0.4323  0.1810  0.6566 [1 per cell]
Ag  0.4315  0.8197  0.8397 [1 per cell]
Ag  0.5889  0.6594  0.5765 [1 per cell]
Ag  0.5933  0.3413  0.9268 [1 per cell]
Ag  0.5964  0.6533  0.0778 [1 per cell]
Ag  0.6007  0.3557  0.4204 [1 per cell]
Ag  0.8951  0.6487  0.4208 [1 per cell]
Ag  0.9031  0.3462  0.0769 [1 per cell]
Ag  0.9095  0.6550  0.9259 [1 per cell]
Ag  0.9110  0.3396  0.5759 [1 per cell]
S  0.2473  0.1097  0.7466 [1 per cell]
S  0.2523  0.8916  0.7468 [1 per cell]
S  0.2547  0.9933  0.2506 [1 per cell]
S  0.7496  0.5013  0.9997 [1 per cell]
S  0.7497  0.5011  0.5062 [1 per cell]
O  0.0981  0.4345  0.3181 [1 per cell]
O  0.1014  0.5573  0.6795 [1 per cell]
O  0.1025  0.4393  0.8184 [1 per cell]
O  0.1064  0.5613  0.1812 [1 per cell]
O  0.1115  0.8525  0.5285 [1 per cell]
O  0.1132  0.1465  0.9676 [1 per cell]
O  0.1128  0.1477  0.4650 [1 per cell]
O  0.1141  0.8540  0.0308 [1 per cell]
O  0.1854  0.3530  0.0669 [1 per cell]
O  0.1847  0.6468  0.4288 [1 per cell]
O  0.1879  0.3507  0.5665 [1 per cell]
O  0.1893  0.6501  0.9293 [1 per cell]
O  0.3107  0.6490  0.5668 [1 per cell]
O  0.3124  0.3501  0.9298 [1 per cell]
O  0.3132  0.6484  0.0673 [1 per cell]
O  0.3151  0.3534  0.4291 [1 per cell]
O  0.3873  0.8521  0.4660 [1 per cell]
O  0.3879  0.1477  0.5284 [1 per cell]
O  0.3876  0.1487  0.0319 [1 per cell]
O  0.3886  0.8538  0.9679 [1 per cell]
O  0.3939  0.5613  0.3152 [1 per cell]
O  0.3985  0.4417  0.6791 [1 per cell]
O  0.3984  0.5595  0.8182 [1 per cell]
O  0.4031  0.4345  0.1777 [1 per cell]
O  0.5982  0.3575  0.7801 [1 per cell]
O  0.6023  0.6382  0.2175 [1 per cell]
O  0.6032  0.3649  0.2813 [1 per cell]
O  0.6046  0.6353  0.7199 [1 per cell]
O  0.6102  0.0614  0.9246 [1 per cell]
O  0.6100  0.9403  0.5724 [1 per cell]
O  0.6131  0.9372  0.0727 [1 per cell]
O  0.6140  0.0672  0.4238 [1 per cell]
O  0.6846  0.1415  0.1740 [1 per cell]
O  0.6857  0.8660  0.3211 [1 per cell]
O  0.6885  0.1357  0.6753 [1 per cell]
O  0.6877  0.8619  0.8230 [1 per cell]
O  0.8111  0.8618  0.6751 [1 per cell]
O  0.8119  0.1356  0.8229 [1 per cell]
O  0.8142  0.8666  0.1752 [1 per cell]
O  0.8154  0.1401  0.3215 [1 per cell]
O  0.8867  0.9362  0.4233 [1 per cell]
O  0.8878  0.0651  0.0728 [1 per cell]
O  0.8893  0.9384  0.9248 [1 per cell]
O  0.8906  0.0587  0.5730 [1 per cell]
O  0.8954  0.3655  0.2157 [1 per cell]
O  0.8962  0.3621  0.7200 [1 per cell]
O  0.8989  0.6400  0.2790 [1 per cell]
O  0.9017  0.6406  0.7803 [1 per cell]

ΔE to the lowest computed polymorph = 3 meV/atom
Calculated density = 3.78 g cm⁻³
DFT total energy = -606.90 eV per cell
E (MP2020) = -6.907 eV per atom
Calculated formation energy = -2.46 eV per atom
Volume = 15.66 Å³/atom